Crystalline Na6Si5Ge4SO24 at its relaxed geometry. Source: the Materials Project database, functional PBE.

Structure (POSCAR):
```
Na6Si5Ge4SO24
1.0
8.7019 0.0000 0.0000
-4.3509 7.5382 0.0000
-0.0648 -0.3238 21.7341
Na Si Ge S O
18 15 12 3 72
direct
0.0000 0.0000 0.0000
0.0014 0.2682 0.4999
0.0054 0.6437 0.7491
0.0333 0.3336 0.8350
0.2982 0.9644 0.8342
0.2993 0.5992 0.3361
0.3330 0.2972 0.4157
0.3329 0.2992 0.9177
0.3662 0.9982 0.5018
0.3680 0.6352 0.0012
0.6335 0.6334 0.5013
0.6347 0.2652 0.0016
0.6619 0.9564 0.5867
0.6623 0.9728 0.0859
0.6688 0.6012 0.8342
0.6963 0.6627 0.1680
0.6974 0.3004 0.6678
0.9948 0.6244 0.2511
0.0007 0.3432 0.0001
0.0035 0.9211 0.4999
0.2851 0.6341 0.5010
0.2857 0.9191 0.0026
0.3289 0.5936 0.1673
0.3298 0.0064 0.6675
0.3761 0.6763 0.8348
0.6213 0.2954 0.1688
0.6238 0.5940 0.6680
0.6698 0.2516 0.8340
0.6778 0.6851 0.3333
0.7145 0.3447 0.5022
0.7182 0.6365 0.0017
0.9532 0.9675 0.8332
0.9547 0.2519 0.3336
0.0002 0.6181 0.1031
0.0013 0.6340 0.8979
0.0010 0.6511 0.6026
0.3434 0.2960 0.7719
0.3431 0.3261 0.2704
0.3467 0.3042 0.5634
0.3491 0.3100 0.0634
0.6488 0.9485 0.7328
0.6662 0.9727 0.2312
0.6676 0.9661 0.9375
0.6793 0.9655 0.4387
0.9819 0.6191 0.3992
0.0474 0.3004 0.6676
0.0496 0.0154 0.1681
0.3779 0.9712 0.3341
0.0270 0.8352 0.1638
0.0279 0.4596 0.6640
0.0468 0.4698 0.9399
0.0498 0.8354 0.4410
0.1236 0.1209 0.1113
0.1260 0.2701 0.6112
0.1509 0.1454 0.8267
0.1544 0.6143 0.1611
0.1549 0.8101 0.6614
0.1559 0.2742 0.3261
0.1565 0.3304 0.7241
0.1603 0.0973 0.2234
0.1623 0.5930 0.4390
0.1628 0.8408 0.9401
0.1757 0.1210 0.5095
0.1760 0.3209 0.0096
0.1803 0.6565 0.8412
0.1972 0.7883 0.0604
0.1977 0.6762 0.5602
0.2033 0.8076 0.3384
0.2928 0.4727 0.2283
0.2956 0.0956 0.7290
0.3051 0.1171 0.0088
0.3060 0.4567 0.5082
0.3549 0.4790 0.8256
0.3594 0.1289 0.3274
0.3733 0.1364 0.6075
0.3751 0.5058 0.1074
0.4550 0.8058 0.7764
0.4564 0.9311 0.2795
0.4837 0.8104 0.4933
0.4836 0.9421 0.9950
0.4866 0.0029 0.3911
0.4935 0.2747 0.8294
0.4937 0.4874 0.3292
0.5001 0.5047 0.6063
0.5011 0.2617 0.1059
0.5044 0.7571 0.8957
0.5164 0.3229 0.5067
0.5156 0.7858 0.1756
0.5169 0.0016 0.6743
0.5193 0.4594 0.0059
0.5268 0.3370 0.2271
0.5373 0.4640 0.7281
0.6233 0.7638 0.3941
0.6239 0.1268 0.8946
0.6414 0.1198 0.1753
0.6442 0.7899 0.6740
0.6880 0.1454 0.4932
0.6941 0.8104 0.9956
0.7008 0.8027 0.2723
0.7118 0.1685 0.7727
0.7913 0.4726 0.4433
0.7973 0.5905 0.9404
0.8132 0.4821 0.1616
0.8155 0.5987 0.6610
0.8213 0.9249 0.7747
0.8235 0.1471 0.9940
0.8260 0.1634 0.2743
0.8270 0.9429 0.4951
0.8420 0.4273 0.5632
0.8427 0.6781 0.0630
0.8439 0.4501 0.8402
0.8528 0.6651 0.3408
0.8676 0.9932 0.1718
0.8686 0.1416 0.6713
0.8707 0.1358 0.3962
0.8744 0.0110 0.8954
0.9494 0.7941 0.5594
0.9496 0.4228 0.0591
0.9745 0.7916 0.8401
0.9862 0.4558 0.3406
```

Calculated formation energy in meV per atom: -2470
Calculated total energy in eV/f.u.: -258.76
Space group: P1

---

Crystalline Na2Si5Sn4Ge4S7O48 at its relaxed geometry. Source: the Materials Project database, functional PBE.

Structure (POSCAR):
```
Na2Si5Sn4Ge4S7O48
1.0
8.6136 0.0000 0.0000
0.0476 14.9682 0.0000
0.0372 0.4225 22.5438
Na Si Sn Ge S O
6 15 12 12 21 144
direct
0.0000 0.0000 0.0000
0.0012 0.6487 0.3330
0.4871 0.5009 0.4966
0.4916 0.1552 0.8367
0.5031 0.1604 0.3317
0.9850 0.6572 0.8332
0.1284 0.1902 0.9135
0.1432 0.5133 0.5863
0.1473 0.4714 0.9147
0.1925 0.1597 0.5861
0.2073 0.4965 0.2502
0.2976 0.6585 0.0859
0.3400 0.9700 0.4135
0.3420 0.0151 0.0866
0.3581 0.6882 0.4134
0.6236 0.3529 0.2466
0.6310 0.9670 0.9233
0.7080 0.9857 0.2572
0.7784 0.4858 0.7569
0.8475 0.4664 0.4225
0.8601 0.8531 0.7473
0.0079 0.6499 0.9833
0.0125 0.6573 0.4768
0.4734 0.1589 0.9786
0.4806 0.1504 0.4806
0.4975 0.4927 0.6503
0.4975 0.4975 0.3535
0.5044 0.1539 0.1905
0.5105 0.8337 0.8120
0.9765 0.3398 0.3067
0.9769 0.9956 0.8566
0.9807 0.6532 0.6898
0.9897 0.9916 0.1510
0.9995 0.3390 0.8175
0.0040 0.3349 0.5283
0.0137 0.6531 0.1844
0.0165 0.3278 0.0155
0.4724 0.8257 0.5115
0.4805 0.4959 0.1516
0.4819 0.1618 0.6816
0.4860 0.8355 0.3149
0.4907 0.8354 0.0330
0.5019 0.4948 0.8607
0.9886 0.9956 0.3587
0.9901 0.9940 0.6448
0.1338 0.1373 0.2549
0.1400 0.8445 0.2533
0.1436 0.8093 0.5839
0.2090 0.8257 0.9175
0.2768 0.3255 0.4186
0.2835 0.9977 0.7480
0.3447 0.3093 0.0831
0.3465 0.3423 0.7525
0.3519 0.6399 0.7551
0.6382 0.6784 0.9194
0.6389 0.0112 0.5859
0.6405 0.3006 0.5835
0.6478 0.6448 0.2466
0.6947 0.6700 0.5803
0.7101 0.3302 0.9187
0.7769 0.8309 0.4187
0.7921 0.1695 0.0800
0.8374 0.1425 0.7454
0.8464 0.5089 0.0848
0.8483 0.8000 0.0840
0.8519 0.1802 0.4186
0.0516 0.2285 0.9747
0.0613 0.2241 0.2626
0.0606 0.7573 0.2455
0.0615 0.0881 0.9092
0.0622 0.4315 0.8568
0.0641 0.5546 0.6455
0.0645 0.4167 0.5780
0.0659 0.5698 0.9180
0.0659 0.7733 0.5308
0.0678 0.1011 0.1993
0.0676 0.8862 0.3053
0.0772 0.9000 0.5921
0.0801 0.2435 0.5706
0.0863 0.0721 0.6010
0.0860 0.2464 0.8530
0.0865 0.5833 0.2417
0.0972 0.7493 0.9218
0.1114 0.0770 0.3073
0.1133 0.4038 0.2529
0.1191 0.4129 0.9757
0.1194 0.9104 0.9128
0.1231 0.7516 0.6372
0.1243 0.9000 0.1977
0.1338 0.5783 0.5281
0.1527 0.9780 0.4036
0.1537 0.0009 0.0920
0.1681 0.6917 0.4158
0.1700 0.3147 0.0756
0.1770 0.3317 0.7586
0.1781 0.6841 0.1409
0.1818 0.6485 0.7495
0.1847 0.3314 0.4740
0.1864 0.9872 0.6952
0.1867 0.3084 0.3650
0.1967 0.0174 0.8028
0.1972 0.6333 0.0275
0.2974 0.8088 0.8618
0.2989 0.1327 0.5301
0.3005 0.5236 0.3095
0.3040 0.1457 0.2495
0.3036 0.8321 0.9709
0.3057 0.1827 0.6438
0.3070 0.4839 0.1903
0.3101 0.8334 0.2589
0.3164 0.8171 0.5755
0.3177 0.1905 0.9155
0.3325 0.5009 0.5924
0.3341 0.4785 0.9028
0.3508 0.0763 0.0266
0.3646 0.2496 0.1353
0.3670 0.3962 0.6968
0.3682 0.4083 0.4158
0.3681 0.9140 0.4766
0.3754 0.9142 0.7533
0.3783 0.5817 0.8077
0.3881 0.2478 0.4234
0.3939 0.0761 0.7406
0.3997 0.7468 0.3545
0.4045 0.7453 0.0702
0.4112 0.3981 0.0894
0.4129 0.5744 0.0981
0.4185 0.2718 0.0287
0.4203 0.7296 0.7614
0.4209 0.3820 0.8044
0.4206 0.6042 0.6998
0.4223 0.0682 0.4173
0.4231 0.0568 0.1442
0.4255 0.2520 0.7452
0.4250 0.9185 0.0792
0.4259 0.9280 0.3569
0.4301 0.5887 0.4130
0.4328 0.7257 0.4758
0.5371 0.2557 0.2412
0.5506 0.9358 0.8614
0.5529 0.3907 0.3080
0.5627 0.0537 0.6389
0.5667 0.2607 0.5311
0.5671 0.7177 0.9709
0.5682 0.0698 0.9253
0.5679 0.5878 0.9123
0.5678 0.9238 0.5775
0.5693 0.3905 0.5887
0.5739 0.7313 0.2559
0.5745 0.6027 0.1951
0.5963 0.7508 0.5730
0.5972 0.8978 0.9791
0.5976 0.5875 0.5867
0.6025 0.4176 0.1878
0.6027 0.0762 0.2537
0.6062 0.8954 0.2651
0.6093 0.2504 0.9251
0.6087 0.4105 0.9120
0.6116 0.2456 0.6396
0.6177 0.7303 0.8623
0.6266 0.0704 0.5320
0.6435 0.5878 0.3020
0.6592 0.4701 0.4180
0.6602 0.1498 0.7368
0.6595 0.5052 0.8122
0.6728 0.8416 0.7515
0.6774 0.1717 0.4243
0.6784 0.8061 0.0792
0.6799 0.5003 0.0938
0.6810 0.8479 0.4734
0.6854 0.4707 0.6947
0.6855 0.8131 0.3655
0.6923 0.1542 0.0276
0.7026 0.1829 0.1353
0.7826 0.6836 0.6363
0.7961 0.6548 0.5288
0.8001 0.9706 0.1944
0.8010 0.3131 0.8646
0.8040 0.3467 0.9723
0.8083 0.3332 0.2498
0.8092 0.3060 0.5794
0.8096 0.0043 0.5937
0.8109 0.6700 0.9245
0.8207 0.6571 0.2358
0.8209 0.9695 0.9202
0.8258 0.0053 0.3125
0.8462 0.0855 0.8010
0.8592 0.5677 0.0295
0.8748 0.2330 0.3632
0.8763 0.7508 0.4270
0.8772 0.9108 0.4125
0.8797 0.7454 0.1381
0.8814 0.3952 0.7654
0.8824 0.4002 0.4809
0.8833 0.5762 0.7539
0.8895 0.9179 0.6893
0.8900 0.0872 0.0860
0.8896 0.2503 0.0726
0.9052 0.2294 0.7540
0.9107 0.1000 0.6938
0.9139 0.5693 0.4255
0.9158 0.8913 0.0876
0.9184 0.7622 0.0292
0.9201 0.0885 0.4121
0.9197 0.2177 0.4717
0.9233 0.4213 0.0749
0.9269 0.5517 0.1361
0.9343 0.4331 0.3634
0.9394 0.8922 0.8070
0.9416 0.7554 0.7414
```

Calculated formation energy in meV per atom: -2134
Calculated total energy in eV/f.u.: -447.17
Space group: P1

---

Crystalline Na2Si2SnGeSO12 at its relaxed geometry. Source: the Materials Project database, functional PBE.

Structure (POSCAR):
```
Na2Si2SnGeSO12
1.0
8.7657 0.0000 0.0000
4.3736 7.6460 0.0000
0.2780 -0.0332 22.3278
Na Si Sn Ge S O
12 12 6 6 6 72
direct
0.0000 0.0000 0.0000
0.0001 0.3727 0.5002
0.0154 0.6782 0.0805
0.0174 0.6878 0.5775
0.3330 0.3347 0.6655
0.3407 0.7048 0.1668
0.3475 0.0202 0.2477
0.3483 0.0080 0.7442
0.6675 0.6687 0.3346
0.6737 0.0386 0.8335
0.6788 0.3538 0.9115
0.6863 0.3410 0.4153
0.0017 0.0468 0.1601
0.0380 0.9661 0.8273
0.0505 0.3687 0.3336
0.3191 0.6771 0.3338
0.3335 0.3823 0.8249
0.3756 0.7096 0.9969
0.3809 0.2873 0.4958
0.6528 0.0024 0.9971
0.6525 0.7237 0.4962
0.7060 0.0501 0.6587
0.7069 0.6327 0.1626
0.9863 0.3279 0.6588
0.0333 0.6709 0.7230
0.0364 0.6727 0.2292
0.0431 0.6774 0.9325
0.3670 0.0082 0.8922
0.7009 0.3373 0.0602
0.7113 0.3437 0.2676
0.0508 0.6379 0.4354
0.3667 0.0033 0.3966
0.3805 0.0216 0.5985
0.3841 0.9722 0.0999
0.6964 0.3445 0.5590
0.7163 0.3045 0.7633
0.0814 0.9997 0.4971
0.0816 0.2973 0.9981
0.4099 0.3289 0.1640
0.4217 0.6287 0.6614
0.7417 0.9646 0.3334
0.7445 0.6615 0.8291
0.0225 0.4950 0.6640
0.0400 0.8446 0.1662
0.0581 0.8463 0.4906
0.0600 0.4739 0.9925
0.0657 0.8441 0.7699
0.0789 0.4560 0.2735
0.1534 0.1937 0.9420
0.1590 0.0365 0.4423
0.1865 0.1491 0.6523
0.1864 0.2152 0.0510
0.1888 0.9728 0.5506
0.1931 0.6995 0.9962
0.1967 0.0351 0.1528
0.1975 0.4820 0.4908
0.2096 0.9876 0.8323
0.2133 0.6522 0.3905
0.2167 0.4558 0.7646
0.2166 0.7134 0.2701
0.2229 0.1771 0.3428
0.2369 0.4920 0.1681
0.2446 0.6400 0.6635
0.2463 0.4950 0.8858
0.3233 0.2181 0.5564
0.3290 0.8343 0.0571
0.3543 0.8443 0.3418
0.3723 0.1797 0.8305
0.3882 0.1760 0.1570
0.3993 0.8004 0.9375
0.3991 0.8048 0.6551
0.4056 0.1619 0.4391
0.4853 0.3669 0.1097
0.4977 0.5169 0.6068
0.5148 0.4981 0.3292
0.5171 0.3021 0.2179
0.5227 0.0374 0.6548
0.5233 0.5489 0.7156
0.5267 0.8261 0.1571
0.5294 0.3685 0.8172
0.5372 0.8045 0.4354
0.5474 0.5181 0.0005
0.5466 0.9878 0.0556
0.5500 0.0387 0.9339
0.5516 0.3138 0.5045
0.5559 0.8479 0.5549
0.5658 0.9772 0.3376
0.5713 0.8242 0.8330
0.6480 0.5659 0.2232
0.6567 0.1674 0.7210
0.6864 0.5202 0.5042
0.6911 0.1667 0.0010
0.7200 0.1414 0.3266
0.7238 0.5079 0.8219
0.7268 0.1551 0.6025
0.7348 0.5125 0.1049
0.8127 0.8594 0.2770
0.8216 0.6995 0.7753
0.8459 0.8217 0.9943
0.8499 0.6350 0.8836
0.8519 0.8823 0.3853
0.8562 0.6982 0.4883
0.8578 0.1594 0.8212
0.8671 0.3597 0.3307
0.8694 0.3654 0.5982
0.8771 0.8564 0.6633
0.8794 0.6523 0.1686
0.8868 0.1197 0.0996
0.8887 0.3087 0.7194
0.9054 0.3107 0.0003
0.9058 0.1638 0.5003
0.9124 0.1623 0.2203
0.9803 0.9011 0.8887
0.9949 0.5019 0.3920
```

Calculated formation energy in meV per atom: -2363
Calculated total energy in eV/f.u.: -122.29
Space group: P1

---

> The lowest calculated total energy belongs to which entry?

Na2Si5Sn4Ge4S7O48

---

> The highest calculated total energy belongs to which entry?

Na2Si2SnGeSO12